(1)
Below is a geometry-optimized Nd2SiTeO4 structure, with properties calculated at the PBE level.

Cell: 6.474 8.795 9.977 Å, 84.71 90.00 90.00°
Positions (direct):
Nd  0.304  0.837  0.654
Nd  0.196  0.337  0.654
Nd  0.696  0.163  0.346
Nd  0.804  0.663  0.346
Nd  0.153  0.305  0.106
Nd  0.653  0.195  0.894
Nd  0.847  0.695  0.894
Nd  0.347  0.805  0.106
Si  0.809  0.943  0.125
Si  0.191  0.057  0.875
Si  0.309  0.557  0.875
Si  0.691  0.443  0.125
Te  0.713  0.381  0.591
Te  0.213  0.119  0.409
Te  0.287  0.619  0.409
Te  0.787  0.881  0.591
O  0.862  0.408  0.248
O  0.362  0.092  0.752
O  0.138  0.592  0.752
O  0.638  0.908  0.248
O  0.509  0.316  0.157
O  0.009  0.184  0.843
O  0.491  0.684  0.843
O  0.991  0.816  0.157
O  0.867  0.124  0.126
O  0.194  0.578  0.019
O  0.133  0.876  0.874
O  0.633  0.624  0.126
O  0.306  0.078  0.019
O  0.806  0.422  0.981
O  0.694  0.922  0.981
O  0.367  0.376  0.874

DFT total energy = -7.607 eV per atom
Energy of formation = -3213.1 meV per atom
Crystal system = monoclinic
Calculated density = 6.0 g/cm3

***

(2)
Below is a geometry-optimized Ca4Ge3Au5 structure, with properties calculated at the PBE level.

Cell: 5.873 5.873 10.767 Å, 85.44 85.44 45.79°
Positions (direct):
Ca  0.686  0.686  0.689
Ca  0.188  0.188  0.182
Ca  0.391  0.391  0.898
Ca  0.892  0.892  0.395
Ge  0.174  0.174  0.488
Ge  0.986  0.986  0.668
Ge  0.486  0.486  0.183
Au  0.682  0.682  0.991
Au  0.387  0.387  0.603
Au  0.904  0.904  0.109
Au  0.094  0.094  0.878
Au  0.602  0.602  0.388

DFT total energy = -3.910 eV per atom
Energy of formation = -721.3 meV per atom
Crystal system = monoclinic
Calculated density = 8.5 g/cm3

***

(3)
Below is a geometry-optimized CaZn3Se4 structure, with properties calculated at the PBE level.

Cell: 5.963 5.963 5.963 Å, 90.00 90.00 90.00°
Positions (direct):
Ca  0.000  0.000  0.000
Zn  0.000  0.500  0.500
Zn  0.500  0.500  0.000
Zn  0.500  0.000  0.500
Se  0.731  0.731  0.269
Se  0.731  0.269  0.731
Se  0.269  0.731  0.731
Se  0.269  0.269  0.269

DFT total energy = -3.383 eV per atom
Energy of formation = -1148.3 meV per atom
Crystal system = cubic
Calculated density = 4.3 g/cm3